Record 1
Eu2CuSe2O | PBE | optimized geometry

abc: 4.091 4.091 14.261
angles: 90.00 90.00 90.00
Space group P4/mmm (No. 123)
Asymmetric unit:
Eu 0.000 0.000 0.148
Cu 0.000 0.000 0.500
Se 0.000 0.000 0.345
O 0.000 0.000 0.000

Computed properties:
Energy with MP2020 corrections: -40.3 eV per cell
Total energy: -39.584 eV for the cell shown
Magnetic moment: 13.55 μB per cell


Record 2
K2EuCl5 | PBE | optimized geometry

abc: 13.156 8.877 8.077
angles: 90.00 90.00 90.00
Space group Pnma (No. 62)
Asymmetric unit:
K 0.176 0.001 0.027
Eu 0.003 0.750 0.564
Cl 0.008 0.750 0.922
Cl 0.086 0.035 0.653
Cl 0.171 0.750 0.352
Cl 0.200 0.250 0.318

Computed properties:
Energy with MP2020 corrections: -161.5 eV per cell
Total energy: -149.218 eV for the cell shown